This record from the Materials Project describes a relaxed structure of NbOF3. The functional is PBE.

Cell: 6.6978 7.8121 8.7532 Å, 98.80 111.09 108.59°
Closest atoms and distances in Å follow each position.
Fractional coordinates of all 20 atoms:
O  0.5844  0.7341  0.3911  1 Nb 1.82
O  0.5685  0.6862  0.6997  2 Nb 1.83-2.05
O  0.4315  0.3138  0.3003  2 Nb 1.83-2.05
O  0.4156  0.2659  0.6089  1 Nb 1.82
F  0.5613  0.6770  0.0410  1 Nb 2.01
F  0.2828  0.9151  0.1773  1 Nb 1.90
F  0.8130  0.5293  0.2717  1 Nb 1.91
F  0.9824  0.9530  0.6931  1 Nb 1.89
F  0.8155  0.5430  0.9101  1 Nb 1.90
F  0.1870  0.4707  0.7283  1 Nb 1.91
F  0.0176  0.0470  0.3069  1 Nb 1.89
F  0.7172  0.0849  0.8227  1 Nb 1.90
F  0.3276  0.8881  0.5056  2 Nb 2.08-2.21
F  0.1845  0.4570  0.0899  1 Nb 1.90
F  0.4387  0.3230  0.9590  1 Nb 2.01
F  0.6724  0.1119  0.4944  2 Nb 2.08-2.21
Nb  0.5142  0.5399  0.2094  1 O 1.82, 3 F 1.90-2.01
Nb  0.4858  0.4601  0.7906  1 O 1.82, 3 F 1.90-2.01
Nb  0.6612  0.8951  0.6307  1 O 1.83, 2 F 1.89-1.90
Nb  0.3388  0.1049  0.3693  1 O 1.83, 2 F 1.89-1.90

Theoretical density, Mg/m³: 2.855
Energy of formation from the pure elements, eV per atom: -3.28
Crystal system: triclinic